Material: TmMnO3
Method: DFT, r²SCAN
State: relaxed

```
30
Lattice="-2.6529 5.3215 -1.1335 -0.4832 -4.5321 -3.9834 -9.4203 -3.5842 5.2205" Properties=species:S:1:pos:R:3 pbc="T T T"
Mn -6.4524 1.7646 1.8404
O -6.5719 -5.5205 0.6894
O -8.8019 -1.0646 3.9384
Mn -10.7623 -6.3318 0.8447
Tm -8.0627 -3.8562 0.7661
O -3.4433 -4.0895 -0.8091
O -4.8302 2.2088 1.0125
O -7.1943 -2.1317 1.8930
Tm -7.2811 -2.7703 4.0350
O -4.2660 -0.9078 -0.1092
O -6.0851 -3.1038 -0.3298
Mn -5.7301 -1.5190 0.8894
Mn -11.4846 -3.0482 1.7957
Tm -2.5709 -0.9782 1.4248
O -1.3749 -1.3117 -2.9401
Tm -3.3524 -2.0641 -1.8442
O -9.8492 -2.4802 1.0767
O -4.4529 -1.6942 2.4677
Mn -5.0063 -4.8029 -0.0591
O -3.7043 -0.0324 -2.7081
O -6.8083 0.1807 0.6202
Tm -8.7859 -0.5717 1.7161
O -8.0190 -4.6200 2.9100
O -2.0981 1.9729 -1.9901
O -9.1631 -3.4864 5.0780
O -8.0789 1.3232 2.6688
O -2.3366 1.0448 0.4996
O -1.6738 -1.9651 -0.3710
Mn -12.2084 0.2357 2.7442
Tm -4.0757 1.2205 -0.8942
```

Calculated values
Raw total energy ... -83.416 eV/f.u.